Material: SrP2H4O6
Method: DFT, GGA-PBE
State: optimized geometry

Calculated formation energy, eV per formula unit: -27.28
Spin magnetization, μB per formula unit: 0.001
Final energy, eV per atom: -6.0721

Geometry as CIF:
```
data_SrP2H4O6
_space_group_name_H-M_alt 'P -1'
_space_group_IT_number 2
_cell_length_a 5.878
_cell_length_b 7.248
_cell_length_c 8.249
_cell_angle_alpha 98.02
_cell_angle_beta 104.28
_cell_angle_gamma 106.40
loop_
_space_group_symop_operation_xyz
'x,y,z'
'-x,-y,-z'
loop_
_atom_site_label
_atom_site_fract_x
_atom_site_fract_y
_atom_site_fract_z
_atom_site_occupancy
Sr1 0.163 0.286 0.457 1
P1 0.175 0.758 0.281 1
P2 0.452 0.731 0.828 1
H1 0.091 0.718 0.100 1
H2 0.270 0.044 0.946 1
H3 0.343 0.606 0.925 1
H4 0.444 0.059 0.708 1
O1 0.078 0.572 0.343 1
O2 0.099 0.926 0.354 1
O3 0.277 0.145 0.045 1
O4 0.297 0.867 0.784 1
O5 0.473 0.815 0.325 1
O6 0.489 0.610 0.678 1
```